(1)
# GGA-PBE Li2In2SiS6, relaxed
# Total DFT energy (no corrections), eV per atom: -4.4559
data_Li2In2SiS6
_cell_length_a 7.083
_cell_length_b 7.083
_cell_length_c 12.237
_cell_angle_alpha 72.80
_cell_angle_beta 72.80
_cell_angle_gamma 60.42
_space_group_name_H-M_alt 'P 1'
_space_group_IT_number 1
loop_
_space_group_symop_operation_xyz
'x,y,z'
loop_
_atom_site_label
_atom_site_fract_x
_atom_site_fract_y
_atom_site_fract_z
_atom_site_occupancy
In1 0.912 0.772 0.993 1
S1 0.204 0.251 0.673 1
S2 0.261 0.770 0.005 1
Li1 0.598 0.400 0.997 1
S3 0.124 0.666 0.379 1
S4 0.666 0.124 0.879 1
Si1 0.542 0.006 0.248 1
S5 0.251 0.204 0.173 1
In2 0.924 0.119 0.688 1
S6 0.719 0.691 0.198 1
S7 0.440 0.961 0.432 1
S8 0.203 0.715 0.693 1
Li2 0.015 0.402 0.342 1
Li3 0.402 0.015 0.842 1
In3 0.119 0.924 0.188 1
S9 0.691 0.719 0.698 1
S10 0.961 0.440 0.932 1
In4 0.772 0.912 0.493 1
S11 0.715 0.203 0.193 1
Si2 0.006 0.542 0.748 1
S12 0.770 0.261 0.505 1
Li4 0.400 0.598 0.497 1

(2)
# GGA-PBE Hf3Hg, relaxed
# Total DFT energy (no corrections), eV per atom: -7.5754
data_Hf3Hg
_cell_length_a 5.510
_cell_length_b 5.510
_cell_length_c 5.510
_cell_angle_alpha 133.67
_cell_angle_beta 133.67
_cell_angle_gamma 67.61
_space_group_name_H-M_alt 'P 1'
_space_group_IT_number 1
loop_
_space_group_symop_operation_xyz
'x,y,z'
loop_
_atom_site_label
_atom_site_fract_x
_atom_site_fract_y
_atom_site_fract_z
_atom_site_occupancy
Hg1 0.000 0.000 0.000 1
Hf1 0.250 0.750 0.500 1
Hf2 0.500 0.500 0.000 1
Hf3 0.750 0.250 0.500 1

(3)
# GGA-PBE LiCuCO3, relaxed
# E above lowest polymorph, eV per atom: 0.000
data_LiCuCO3
_cell_length_a 9.512
_cell_length_b 9.512
_cell_length_c 9.512
_cell_angle_alpha 147.09
_cell_angle_beta 145.25
_cell_angle_gamma 48.61
_space_group_name_H-M_alt 'P 1'
_space_group_IT_number 1
loop_
_space_group_symop_operation_xyz
'x,y,z'
loop_
_atom_site_label
_atom_site_fract_x
_atom_site_fract_y
_atom_site_fract_z
_atom_site_occupancy
Li1 0.250 0.498 0.248 1
O1 0.243 0.081 0.534 1
O2 0.965 0.215 0.750 1
O3 0.465 0.715 0.750 1
Cu1 0.342 0.250 0.592 1
Li2 0.250 0.998 0.748 1
C1 0.389 0.639 0.750 1
C2 0.611 0.361 0.250 1
O4 0.757 0.919 0.466 1
O5 0.046 0.708 0.966 1
Li3 0.750 0.002 0.252 1
Cu2 0.842 0.250 0.092 1
Cu3 0.658 0.750 0.408 1
C3 0.111 0.861 0.250 1
Li4 0.750 0.502 0.752 1
O6 0.743 0.208 0.162 1
O7 0.257 0.792 0.838 1
Cu4 0.158 0.750 0.908 1
O8 0.035 0.785 0.250 1
O9 0.546 0.581 0.338 1
O10 0.535 0.285 0.250 1
O11 0.454 0.419 0.662 1
C4 0.889 0.139 0.750 1
O12 0.954 0.292 0.034 1

What volume values result from the calculations? In sequence: 502, 86, 265 Å³ per cell.
What theoretical density values result from the calculations? In sequence: 3.07, 14.20, 3.27 g/cm3.